Run i
A geometry-optimized YMg6Sb structure, computed with PBE.

Values from the calculation:
For the total moment, the calculation gives 0.0 μB/f.u.

Cell lengths 5.0886, 6.7642, 11.2783 Å; angles 90.00, 90.00, 90.00 degrees
Last column: nearest neighbours and their distance in Å.
Positions (direct):
Mg (0.0000, 0.7570, 0.0806)  8 Mg 3.12-3.48, 2 Sb 3.23, 2 Y 3.27-3.30
Mg (0.0000, 0.0000, 0.3354)  10 Mg 3.16-3.31, 2 Y 3.38
Mg (0.5000, 0.7630, 0.4204)  7 Mg 3.12-3.31, 2 Sb 3.19-3.38, 2 Y 3.27
Mg (0.5000, 0.5000, 0.6681)  10 Mg 3.17-3.31, 2 Sb 3.38
Mg (0.0000, 0.5000, 0.8354)  10 Mg 3.16-3.31, 2 Y 3.38
Sb (0.5000, 0.5000, 0.1651)  2 Y 3.15, 10 Mg 3.19-3.38
Mg (0.5000, 0.0000, 0.1681)  10 Mg 3.17-3.31, 2 Sb 3.38
Mg (0.0000, 0.2570, 0.5806)  8 Mg 3.12-3.48, 2 Sb 3.23, 2 Y 3.27-3.30
Mg (0.0000, 0.2430, 0.0806)  8 Mg 3.12-3.48, 2 Sb 3.23, 2 Y 3.27-3.30
Y (0.0000, 0.5000, 0.3295)  2 Sb 3.15, 10 Mg 3.27-3.38
Sb (0.5000, 0.0000, 0.6651)  2 Y 3.15, 10 Mg 3.19-3.38
Mg (0.5000, 0.2370, 0.4204)  7 Mg 3.12-3.31, 2 Sb 3.19-3.38, 2 Y 3.27
Y (0.0000, 0.0000, 0.8295)  2 Sb 3.15, 10 Mg 3.27-3.38
Mg (0.5000, 0.7370, 0.9204)  7 Mg 3.12-3.31, 2 Sb 3.19-3.38, 2 Y 3.27
Mg (0.0000, 0.7430, 0.5806)  8 Mg 3.12-3.48, 2 Sb 3.23, 2 Y 3.27-3.30
Mg (0.5000, 0.2630, 0.9204)  7 Mg 3.12-3.31, 2 Sb 3.19-3.38, 2 Y 3.27


Run ii
A geometry-optimized YMg6Sb structure, computed with PBE.

Values from the calculation:
For the total moment, the calculation gives 0.0 μB/f.u.

Cell lengths 5.3822, 6.2288, 11.6095 Å; angles 90.00, 90.00, 90.00 degrees
Last column: nearest neighbours and their distance in Å.
Positions (direct):
Mg (0.0000, 0.0000, 0.3361)  10 Mg 3.11-3.38, 2 Y 3.31
Sb (0.5000, 0.5000, 0.1665)  2 Y 3.11, 10 Mg 3.27-3.33
Mg (0.0000, 0.2493, 0.5781)  8 Mg 3.11-3.38, 2 Sb 3.27, 2 Y 3.29
Mg (0.0000, 0.7493, 0.0781)  8 Mg 3.11-3.38, 2 Sb 3.27, 2 Y 3.29
Mg (0.5000, 0.7517, 0.4176)  8 Mg 3.09-3.27, 2 Y 3.26-3.33, 2 Sb 3.28-3.31
Sb (0.5000, 0.0000, 0.6665)  2 Y 3.11, 10 Mg 3.27-3.33
Mg (0.0000, 0.5000, 0.3356)  10 Mg 3.11-3.37, 2 Sb 3.33
Mg (0.5000, 0.2517, 0.9176)  8 Mg 3.09-3.27, 2 Y 3.26-3.33, 2 Sb 3.28-3.31
Mg (0.0000, 0.0000, 0.8356)  10 Mg 3.11-3.37, 2 Sb 3.33
Mg (0.5000, 0.2483, 0.4176)  8 Mg 3.09-3.27, 2 Y 3.26-3.33, 2 Sb 3.28-3.31
Mg (0.0000, 0.5000, 0.8361)  10 Mg 3.11-3.38, 2 Y 3.31
Y (0.5000, 0.5000, 0.6705)  2 Sb 3.11, 10 Mg 3.26-3.33
Y (0.5000, 0.0000, 0.1705)  2 Sb 3.11, 10 Mg 3.26-3.33
Mg (0.5000, 0.7483, 0.9176)  8 Mg 3.09-3.27, 2 Y 3.26-3.33, 2 Sb 3.28-3.31
Mg (0.0000, 0.7507, 0.5781)  8 Mg 3.11-3.38, 2 Sb 3.27, 2 Y 3.29
Mg (0.0000, 0.2507, 0.0781)  8 Mg 3.11-3.38, 2 Sb 3.27, 2 Y 3.29


Of the structures shown above, run ii is the most stable.